Rb2TaCuF6: relaxed, PBE.

## Properties
Density = 5.19 g/cm³
ΔH_f (0 K) = -2.52 eV/atom

Cell lengths 8.7849, 8.7849, 8.7849 Å; angles 90.00, 90.00, 90.00 degrees
Space group Fm-3m (No. 225)
One atom of each set of equivalent atoms:
Rb: 0.2500 0.2500 0.2500 (multiplicity 8)
Ta: 0.0000 0.0000 0.0000 (multiplicity 4)
Cu: 0.0000 0.0000 0.5000 (multiplicity 4)
F: 0.0000 0.0000 0.2383 (multiplicity 24)

***

Rb2TlCuF6: relaxed, PBE.

## Properties
Density = 5.33 g/cm³
ΔH_f (0 K) = -2.39 eV/atom

Cell lengths 8.8303, 8.8303, 8.8303 Å; angles 90.00, 90.00, 90.00 degrees
Space group Fm-3m (No. 225)
One atom of each set of equivalent atoms:
Rb: 0.2500 0.2500 0.2500 (multiplicity 8)
Tl: 0.0000 0.0000 0.0000 (multiplicity 4)
Cu: 0.0000 0.0000 0.5000 (multiplicity 4)
F: 0.0000 0.0000 0.2656 (multiplicity 24)

***

SrCuSF: relaxed, PBE.

## Properties
Density = 4.90 g/cm³
ΔH_f (0 K) = -2.30 eV/atom

Cell lengths 3.9678, 3.9678, 8.7066 Å; angles 90.00, 90.00, 90.00 degrees
Space group P4/nmm (No. 129, origin choice 2)
One atom of each set of equivalent atoms:
Sr: 0.2500 0.2500 0.1705 (multiplicity 2)
Cu: 0.2500 0.7500 0.5000 (multiplicity 2)
S: 0.2500 0.2500 0.6603 (multiplicity 2)
F: 0.2500 0.7500 0.0000 (multiplicity 2)

***

Sr2CuS2F: relaxed, PBE.

## Properties
Density = 1.94 g/cm³
ΔH_f (0 K) = -1.04 eV/atom

Cell lengths 4.4247, 4.4247, 14.1052 Å; angles 90.00, 90.00, 90.00 degrees
Space group P4/mmm (No. 123)
One atom of each set of equivalent atoms:
Sr: 0.0000 0.0000 0.1648 (multiplicity 2)
Cu: 0.0000 0.0000 0.5000 (multiplicity 1)
S: 0.0000 0.0000 0.3533 (multiplicity 2)
F: 0.0000 0.0000 0.0000 (multiplicity 1)

***

CuSb2Xe2F16: relaxed, PBE.

## Properties
Density = 3.65 g/cm³
ΔH_f (0 K) = -2.00 eV/atom

Cell lengths 5.6433, 15.0585, 9.3602 Å; angles 90.00, 91.15, 90.00 degrees
Space group P2_1/c (No. 14)
One atom of each set of equivalent atoms:
Cu: 0.0000 0.0000 0.0000 (multiplicity 2)
Sb: 0.4892 0.0814 0.7508 (multiplicity 4)
Xe: 0.0044 0.1679 0.3363 (multiplicity 4)
F: 0.0274 0.2475 0.0031 (multiplicity 4)
F: 0.0327 0.5811 0.3475 (multiplicity 4)
F: 0.2011 0.0796 0.6409 (multiplicity 4)
F: 0.2245 0.5826 0.6253 (multiplicity 4)
F: 0.3068 0.0674 0.9267 (multiplicity 4)
F: 0.3243 0.5974 0.9150 (multiplicity 4)
F: 0.4734 0.2072 0.7800 (multiplicity 4)
F: 0.4815 0.0446 0.2598 (multiplicity 4)

***

Sm2CuSe2F: relaxed, PBE.

## Properties
Density = 5.10 g/cm³
ΔH_f (0 K) = -0.78 eV/atom

Cell lengths 3.4887, 3.4887, 14.4896 Å; angles 90.00, 90.00, 90.00 degrees
Space group P4/mmm (No. 123)
One atom of each set of equivalent atoms:
Sm: 0.0000 0.0000 0.1566 (multiplicity 2)
Cu: 0.0000 0.0000 0.5000 (multiplicity 1)
Se: 0.0000 0.0000 0.3452 (multiplicity 2)
F: 0.0000 0.0000 0.0000 (multiplicity 1)

***

SrCuSeF: relaxed, PBE.

## Properties
Density = 5.55 g/cm³
ΔH_f (0 K) = -2.14 eV/atom

Cell lengths 4.0938, 4.0938, 8.9012 Å; angles 90.00, 90.00, 90.00 degrees
Space group P4/nmm (No. 129, origin choice 2)
One atom of each set of equivalent atoms:
Sr: 0.2500 0.2500 0.1618 (multiplicity 2)
Cu: 0.2500 0.7500 0.5000 (multiplicity 2)
Se: 0.2500 0.2500 0.6688 (multiplicity 2)
F: 0.2500 0.7500 0.0000 (multiplicity 2)

***

CuSnF6: relaxed, PBE.

## Properties
Density = 4.32 g/cm³
ΔH_f (0 K) = -2.42 eV/atom

Cell lengths 5.3069, 5.3069, 14.0016 Å; angles 90.00, 90.00, 120.00 degrees
Space group R-3 (No. 148, hexagonal axes)
One atom of each set of equivalent atoms:
Cu: 0.0000 0.0000 0.0000 (multiplicity 3)
Sn: 0.0000 0.0000 0.5000 (multiplicity 3)
F: 0.0012 0.3867 0.2493 (multiplicity 18)

***

Repeat the third record exactly.
SrCuSF: relaxed, PBE.

## Properties
Density = 4.90 g/cm³
ΔH_f (0 K) = -2.30 eV/atom

Cell lengths 3.9678, 3.9678, 8.7066 Å; angles 90.00, 90.00, 90.00 degrees
Space group P4/nmm (No. 129, origin choice 2)
One atom of each set of equivalent atoms:
Sr: 0.2500 0.2500 0.1705 (multiplicity 2)
Cu: 0.2500 0.7500 0.5000 (multiplicity 2)
S: 0.2500 0.2500 0.6603 (multiplicity 2)
F: 0.2500 0.7500 0.0000 (multiplicity 2)

***

> Which value of density does entry 7 give?

5.55 g/cm³

***

> Which value of ΔH_f (0 K) does entry 3 give?

-2.30 eV/atom

***

> Which value of ΔH_f (0 K) does entry 6 give?

-0.78 eV/atom